# Nb27N37O3

Crystalline Nb27N37O3 at its relaxed geometry (PBE, the Materials Project database).

abc: 4.239 5.395 42.995
angles: 79.10 66.87 67.01
Fractional coordinates of all 67 atoms:
N  0.303  0.811  0.073
Nb  0.603  0.575  0.027
Nb  0.587  0.647  0.647
N  0.091  0.606  0.526
Nb  0.391  0.392  0.853
Nb  0.019  0.021  0.118
N  0.884  0.393  0.105
Nb  0.789  0.794  0.204
O  0.092  0.614  0.275
Nb  0.437  0.355  0.221
N  0.892  0.400  0.977
N  0.097  0.610  0.899
N  0.313  0.780  0.699
N  0.324  0.778  0.822
N  0.675  0.221  0.553
N  0.341  0.745  0.197
Nb  0.787  0.873  0.069
Nb  0.600  0.571  0.529
N  0.524  0.968  0.998
N  0.294  0.823  0.323
N  0.095  0.614  0.650
Nb  0.785  0.876  0.319
N  0.871  0.432  0.478
O  0.081  0.632  0.151
N  0.874  0.444  0.601
N  0.496  0.011  0.625
N  0.675  0.220  0.679
N  0.097  0.612  0.399
N  0.898  0.402  0.725
Nb  0.394  0.406  0.350
Nb  0.189  0.198  0.928
Nb  0.605  0.580  0.776
Nb  0.611  0.549  0.404
N  0.691  0.221  0.050
Nb  0.780  0.825  0.452
N  0.523  0.995  0.495
N  0.334  0.742  0.449
N  0.527  0.985  0.245
Nb  0.387  0.396  0.603
N  0.494  0.013  0.875
N  0.541  0.953  0.121
Nb  0.411  0.322  0.982
N  0.097  0.598  0.776
N  0.699  0.195  0.176
Nb  0.811  0.832  0.819
Nb  0.585  0.653  0.897
N  0.519  0.986  0.372
Nb  0.204  0.192  0.675
O  0.098  0.593  0.027
N  0.876  0.418  0.229
N  0.312  0.779  0.950
Nb  0.375  0.388  0.483
N  0.313  0.786  0.574
N  0.683  0.233  0.300
Nb  0.812  0.796  0.697
N  0.673  0.218  0.804
Nb  0.017  0.004  0.370
N  0.676  0.218  0.929
N  0.525  0.972  0.747
Nb  0.616  0.581  0.147
N  0.883  0.428  0.351
Nb  0.399  0.335  0.733
N  0.711  0.188  0.424
Nb  0.814  0.793  0.948
Nb  0.802  0.835  0.571
N  0.870  0.449  0.851
Nb  0.585  0.607  0.278

Properties
M_tot = 0.0 μB per cell
energy = -9.770 eV per atom
ΔE_f = -905.1 meV per atom
SG = P1